The following is a PBE calculation of a geometry-optimized Na2TaSi2SnPO12 structure, from the Materials Project database.

Structure (CIF):
```
data_Na2TaSi2SnPO12
_chemical_formula_sum 'Na12 Ta6 Si12 Sn6 P6 O72'
_space_group_name_H-M_alt 'P 1'
_space_group_IT_number 1
_cell_length_a 8.9364
_cell_length_b 8.9364
_cell_length_c 22.6820
_cell_angle_alpha 89.81
_cell_angle_beta 90.19
_cell_angle_gamma 119.83
loop_
_space_group_symop_operation_xyz
'x,y,z'
loop_
_atom_site_label
_atom_site_type_symbol
_atom_site_fract_x
_atom_site_fract_y
_atom_site_fract_z
_atom_site_occupancy
Na1 Na 0.9924 0.6292 0.2501 1
Na2 Na 0.3708 0.0076 0.7501 1
Na3 Na 0.6590 0.9626 0.5835 1
Na4 Na 0.0374 0.3410 0.0835 1
Na5 Na 0.3257 0.2959 0.9168 1
Na6 Na 0.7041 0.6743 0.4168 1
Na7 Na 0.0129 0.0020 0.4974 1
Na8 Na 0.9980 0.9871 0.9974 1
Na9 Na 0.6796 0.3353 0.8307 1
Na10 Na 0.6647 0.3204 0.3307 1
Na11 Na 0.3462 0.6687 0.1640 1
Na12 Na 0.3313 0.6538 0.6640 1
Ta1 Ta 0.0013 0.0004 0.6454 1
Ta2 Ta 0.9996 0.9987 0.1454 1
Ta3 Ta 0.6679 0.3338 0.9787 1
Ta4 Ta 0.6662 0.3321 0.4787 1
Ta5 Ta 0.3346 0.6671 0.3121 1
Ta6 Ta 0.3329 0.6654 0.8121 1
Si1 Si 0.7076 0.7094 0.2503 1
Si2 Si 0.9980 0.2881 0.2495 1
Si3 Si 0.2906 0.2924 0.7503 1
Si4 Si 0.7119 0.0020 0.7495 1
Si5 Si 0.3743 0.0427 0.5837 1
Si6 Si 0.6646 0.6214 0.5828 1
Si7 Si 0.9573 0.6257 0.0837 1
Si8 Si 0.3786 0.3354 0.0828 1
Si9 Si 0.0410 0.3761 0.9170 1
Si10 Si 0.3313 0.9547 0.9161 1
Si11 Si 0.6239 0.9590 0.4170 1
Si12 Si 0.0453 0.6687 0.4161 1
Sn1 Sn 0.9988 0.0017 0.3525 1
Sn2 Sn 0.9983 0.0012 0.8525 1
Sn3 Sn 0.6655 0.3350 0.6858 1
Sn4 Sn 0.6650 0.3345 0.1858 1
Sn5 Sn 0.3322 0.6683 0.0191 1
Sn6 Sn 0.3317 0.6678 0.5191 1
P1 P 0.2908 0.0039 0.2507 1
P2 P 0.9961 0.7092 0.7507 1
P3 P 0.9575 0.3373 0.5840 1
P4 P 0.6627 0.0425 0.0840 1
P5 P 0.6242 0.6706 0.9173 1
P6 P 0.3294 0.3758 0.4173 1
O1 O 0.2126 0.0322 0.3058 1
O2 O 0.8274 0.7842 0.3090 1
O3 O 0.9698 0.1748 0.3075 1
O4 O 0.2158 0.1726 0.8090 1
O5 O 0.9678 0.7874 0.8058 1
O6 O 0.8252 0.0302 0.8075 1
O7 O 0.8004 0.9712 0.6901 1
O8 O 0.1639 0.1907 0.6936 1
O9 O 0.0292 0.8295 0.6957 1
O10 O 0.8093 0.8361 0.1936 1
O11 O 0.0288 0.1996 0.1901 1
O12 O 0.1705 0.9708 0.1957 1
O13 O 0.8793 0.3655 0.6392 1
O14 O 0.4940 0.1175 0.6423 1
O15 O 0.6364 0.5082 0.6408 1
O16 O 0.8825 0.5060 0.1423 1
O17 O 0.6345 0.1207 0.1392 1
O18 O 0.4918 0.3636 0.1408 1
O19 O 0.4671 0.3045 0.0235 1
O20 O 0.8305 0.5240 0.0269 1
O21 O 0.6959 0.1628 0.0291 1
O22 O 0.4760 0.1695 0.5269 1
O23 O 0.6955 0.5329 0.5235 1
O24 O 0.8372 0.3041 0.5291 1
O25 O 0.5459 0.6988 0.9725 1
O26 O 0.1607 0.4508 0.9757 1
O27 O 0.3031 0.8415 0.9741 1
O28 O 0.5492 0.8393 0.4757 1
O29 O 0.3012 0.4541 0.4725 1
O30 O 0.1585 0.6969 0.4741 1
O31 O 0.1337 0.6378 0.3568 1
O32 O 0.4972 0.8574 0.3602 1
O33 O 0.3626 0.4961 0.3624 1
O34 O 0.1426 0.5028 0.8602 1
O35 O 0.3622 0.8663 0.8568 1
O36 O 0.5039 0.6374 0.8624 1
O37 O 0.0180 0.8358 0.4110 1
O38 O 0.8128 0.9750 0.4114 1
O39 O 0.1764 0.1943 0.4101 1
O40 O 0.0250 0.1872 0.9114 1
O41 O 0.1642 0.9820 0.9110 1
O42 O 0.8057 0.8236 0.9101 1
O43 O 0.9648 0.1651 0.5894 1
O44 O 0.1847 0.0278 0.5905 1
O45 O 0.8366 0.8178 0.5901 1
O46 O 0.9722 0.8153 0.0905 1
O47 O 0.8349 0.0352 0.0894 1
O48 O 0.1822 0.1634 0.0901 1
O49 O 0.6847 0.1692 0.7443 1
O50 O 0.4795 0.3083 0.7447 1
O51 O 0.8430 0.5276 0.7434 1
O52 O 0.6917 0.5205 0.2447 1
O53 O 0.8308 0.3153 0.2443 1
O54 O 0.4724 0.1570 0.2434 1
O55 O 0.6314 0.4984 0.9228 1
O56 O 0.8513 0.3612 0.9239 1
O57 O 0.5033 0.1511 0.9234 1
O58 O 0.6388 0.1487 0.4239 1
O59 O 0.5016 0.3686 0.4228 1
O60 O 0.8489 0.4967 0.4234 1
O61 O 0.3514 0.5025 0.0777 1
O62 O 0.1461 0.6416 0.0780 1
O63 O 0.5097 0.8610 0.0767 1
O64 O 0.3584 0.8539 0.5780 1
O65 O 0.4975 0.6486 0.5777 1
O66 O 0.1390 0.4903 0.5767 1
O67 O 0.2981 0.8317 0.2561 1
O68 O 0.5180 0.6945 0.2572 1
O69 O 0.1699 0.4845 0.2567 1
O70 O 0.3055 0.4820 0.7572 1
O71 O 0.1683 0.7019 0.7561 1
O72 O 0.5155 0.8301 0.7567 1
```

Results
- Magnetization: 0.00 Bohr magnetons per cell
- E_form: -2.84 eV/atom
- Calculated total energy: -839.5 eV for the cell shown

---

The following is a PBE calculation of a geometry-optimized Na4YSi2SnPO12 structure, from the Materials Project database.

Structure (CIF):
```
data_Na4YSi2SnPO12
_chemical_formula_sum 'Na24 Y6 Si12 Sn6 P6 O72'
_space_group_name_H-M_alt 'P 1'
_space_group_IT_number 1
_cell_length_a 9.3467
_cell_length_b 9.3467
_cell_length_c 22.8467
_cell_angle_alpha 90.71
_cell_angle_beta 89.29
_cell_angle_gamma 120.13
loop_
_space_group_symop_operation_xyz
'x,y,z'
loop_
_atom_site_label
_atom_site_type_symbol
_atom_site_fract_x
_atom_site_fract_y
_atom_site_fract_z
_atom_site_occupancy
Na1 Na 0.6418 0.0046 0.2518 1
Na2 Na 0.3683 0.3687 0.2455 1
Na3 Na 0.9916 0.6263 0.2505 1
Na4 Na 0.6313 0.6317 0.7455 1
Na5 Na 0.9954 0.3582 0.7518 1
Na6 Na 0.3737 0.0084 0.7505 1
Na7 Na 0.3085 0.3380 0.5851 1
Na8 Na 0.0350 0.7020 0.5788 1
Na9 Na 0.6583 0.9596 0.5839 1
Na10 Na 0.2980 0.9650 0.0788 1
Na11 Na 0.6620 0.6915 0.0851 1
Na12 Na 0.0404 0.3417 0.0839 1
Na13 Na 0.9751 0.6713 0.9184 1
Na14 Na 0.7017 0.0353 0.9121 1
Na15 Na 0.3249 0.2930 0.9172 1
Na16 Na 0.9647 0.2983 0.4121 1
Na17 Na 0.3287 0.0249 0.4184 1
Na18 Na 0.7070 0.6751 0.4172 1
Na19 Na 0.9943 0.9906 0.4995 1
Na20 Na 0.0094 0.0057 0.9995 1
Na21 Na 0.6609 0.3239 0.8329 1
Na22 Na 0.6761 0.3391 0.3329 1
Na23 Na 0.3276 0.6572 0.1662 1
Na24 Na 0.3428 0.6724 0.6662 1
Y1 Y 0.9961 0.9972 0.3502 1
Y2 Y 0.0028 0.0039 0.8502 1
Y3 Y 0.6627 0.3305 0.6836 1
Y4 Y 0.6695 0.3373 0.1836 1
Y5 Y 0.3294 0.6638 0.0169 1
Y6 Y 0.3362 0.6706 0.5169 1
Si1 Si 0.6973 0.7052 0.2507 1
Si2 Si 0.0070 0.3014 0.2513 1
Si3 Si 0.2948 0.3027 0.7507 1
Si4 Si 0.6986 0.9930 0.7513 1
Si5 Si 0.3640 0.0385 0.5840 1
Si6 Si 0.6736 0.6348 0.5846 1
Si7 Si 0.9615 0.6360 0.0840 1
Si8 Si 0.3652 0.3264 0.0846 1
Si9 Si 0.0307 0.3718 0.9173 1
Si10 Si 0.3403 0.9681 0.9180 1
Si11 Si 0.6282 0.9693 0.4173 1
Si12 Si 0.0319 0.6597 0.4180 1
Sn1 Sn 0.9990 0.0003 0.6499 1
Sn2 Sn 0.9997 0.0010 0.1499 1
Sn3 Sn 0.6656 0.3336 0.9833 1
Sn4 Sn 0.6664 0.3344 0.4833 1
Sn5 Sn 0.3323 0.6669 0.3166 1
Sn6 Sn 0.3331 0.6677 0.8166 1
P1 P 0.2931 0.9921 0.2499 1
P2 P 0.0079 0.7069 0.7499 1
P3 P 0.9598 0.3255 0.5832 1
P4 P 0.6745 0.0402 0.0832 1
P5 P 0.6265 0.6588 0.9165 1
P6 P 0.3412 0.3735 0.4165 1
O1 O 0.2191 0.0223 0.3048 1
O2 O 0.8099 0.7814 0.3079 1
O3 O 0.9799 0.1941 0.3091 1
O4 O 0.2186 0.1901 0.8079 1
O5 O 0.9777 0.7809 0.8048 1
O6 O 0.8059 0.0201 0.8091 1
O7 O 0.7862 0.9593 0.6920 1
O8 O 0.1730 0.2142 0.6921 1
O9 O 0.0360 0.8189 0.6946 1
O10 O 0.7858 0.8270 0.1921 1
O11 O 0.0407 0.2138 0.1920 1
O12 O 0.1811 0.9640 0.1946 1
O13 O 0.8858 0.3556 0.6381 1
O14 O 0.4765 0.1148 0.6412 1
O15 O 0.6465 0.5275 0.6424 1
O16 O 0.8852 0.5235 0.1412 1
O17 O 0.6444 0.1142 0.1381 1
O18 O 0.4725 0.3535 0.1424 1
O19 O 0.4529 0.2927 0.0254 1
O20 O 0.8396 0.5475 0.0255 1
O21 O 0.7027 0.1523 0.0279 1
O22 O 0.4525 0.1604 0.5255 1
O23 O 0.7073 0.5471 0.5254 1
O24 O 0.8477 0.2973 0.5279 1
O25 O 0.5524 0.6889 0.9714 1
O26 O 0.1432 0.4481 0.9746 1
O27 O 0.3132 0.8608 0.9757 1
O28 O 0.5519 0.8568 0.4746 1
O29 O 0.3111 0.4476 0.4714 1
O30 O 0.1392 0.6868 0.4757 1
O31 O 0.1196 0.6260 0.3587 1
O32 O 0.5063 0.8808 0.3588 1
O33 O 0.3694 0.4856 0.3612 1
O34 O 0.1192 0.4937 0.8588 1
O35 O 0.3740 0.8804 0.8587 1
O36 O 0.5144 0.6306 0.8612 1
O37 O 0.0130 0.8243 0.4138 1
O38 O 0.8160 0.9994 0.4132 1
O39 O 0.1931 0.1976 0.4104 1
O40 O 0.0006 0.1840 0.9132 1
O41 O 0.1757 0.9870 0.9138 1
O42 O 0.8024 0.8069 0.9104 1
O43 O 0.9678 0.1603 0.5866 1
O44 O 0.1808 0.0313 0.5886 1
O45 O 0.8470 0.8206 0.5876 1
O46 O 0.9687 0.8192 0.0886 1
O47 O 0.8397 0.0322 0.0866 1
O48 O 0.1794 0.1530 0.0876 1
O49 O 0.6797 0.1576 0.7471 1
O50 O 0.4827 0.3328 0.7466 1
O51 O 0.8598 0.5309 0.7437 1
O52 O 0.6672 0.5173 0.2466 1
O53 O 0.8424 0.3203 0.2471 1
O54 O 0.4691 0.1402 0.2437 1
O55 O 0.6345 0.4937 0.9200 1
O56 O 0.8474 0.3646 0.9220 1
O57 O 0.5136 0.1540 0.9209 1
O58 O 0.6354 0.1526 0.4220 1
O59 O 0.5063 0.3655 0.4200 1
O60 O 0.8460 0.4864 0.4209 1
O61 O 0.3464 0.4910 0.0805 1
O62 O 0.1494 0.6661 0.0799 1
O63 O 0.5264 0.8642 0.0770 1
O64 O 0.3339 0.8506 0.5799 1
O65 O 0.5090 0.6536 0.5805 1
O66 O 0.1358 0.4736 0.5770 1
O67 O 0.3011 0.8270 0.2533 1
O68 O 0.5141 0.6980 0.2553 1
O69 O 0.1803 0.4873 0.2543 1
O70 O 0.3020 0.4859 0.7553 1
O71 O 0.1730 0.6989 0.7533 1
O72 O 0.5127 0.8197 0.7543 1
```

Results
- Magnetization: 0.00 Bohr magnetons per cell
- E_form: -2.79 eV/atom
- Calculated total energy: -851.1 eV for the cell shown